Record 1
# Pr6MnS10, relaxed, DFT PBE
data_Pr6MnS10
_cell_length_a 7.442
_cell_length_b 7.455
_cell_length_c 30.633
_cell_angle_alpha 94.21
_cell_angle_beta 95.14
_cell_angle_gamma 108.78
_space_group_name_H-M_alt 'P 1'
_space_group_IT_number 1
_space_group_name_Hall 'P 1'
loop_
_atom_site_label
_atom_site_type_symbol
_atom_site_fract_x
_atom_site_fract_y
_atom_site_fract_z
_atom_site_occupancy
Pr1 Pr 0.000 0.000 0.000 1
Pr2 Pr 0.001 0.883 0.125 1
Pr3 Pr 0.044 0.797 0.852 1
Pr4 Pr 0.173 0.665 0.345 1
Pr5 Pr 0.180 0.445 0.101 1
Pr6 Pr 0.205 0.084 0.530 1
Pr7 Pr 0.211 0.214 0.400 1
Pr8 Pr 0.254 0.019 0.249 1
Pr9 Pr 0.260 0.636 0.628 1
Pr10 Pr 0.380 0.637 0.500 1
Pr11 Pr 0.382 0.894 0.750 1
Pr12 Pr 0.397 0.404 0.801 1
Pr13 Pr 0.400 0.289 0.926 1
Pr14 Pr 0.581 0.844 0.902 1
Pr15 Pr 0.589 0.087 0.149 1
Pr16 Pr 0.600 0.591 0.207 1
Pr17 Pr 0.652 0.409 0.048 1
Pr18 Pr 0.657 0.031 0.424 1
Pr19 Pr 0.763 0.033 0.300 1
Pr20 Pr 0.767 0.284 0.555 1
Pr21 Pr 0.791 0.665 0.725 1
Pr22 Pr 0.802 0.806 0.602 1
Pr23 Pr 0.846 0.605 0.445 1
Pr24 Pr 0.978 0.227 0.700 1
Mn1 Mn 0.048 0.447 0.232 1
Mn2 Mn 0.434 0.810 0.024 1
Mn3 Mn 0.860 0.239 0.827 1
Mn4 Mn 0.983 0.465 0.948 1
S1 S 0.024 0.668 0.047 1
S2 S 0.035 0.309 0.477 1
S3 S 0.036 0.665 0.547 1
S4 S 0.053 0.192 0.605 1
S5 S 0.058 0.071 0.779 1
S6 S 0.088 0.579 0.776 1
S7 S 0.119 0.905 0.677 1
S8 S 0.140 0.294 0.297 1
S9 S 0.232 0.387 0.001 1
S10 S 0.232 0.876 0.448 1
S11 S 0.242 0.853 0.953 1
S12 S 0.249 0.520 0.876 1
S13 S 0.259 0.269 0.176 1
S14 S 0.289 0.776 0.172 1
S15 S 0.340 0.099 0.072 1
S16 S 0.366 0.497 0.708 1
S17 S 0.419 0.063 0.848 1
S18 S 0.423 0.716 0.274 1
S19 S 0.425 0.049 0.347 1
S20 S 0.468 0.607 0.407 1
S21 S 0.477 0.465 0.574 1
S22 S 0.479 0.948 0.575 1
S23 S 0.534 0.307 0.475 1
S24 S 0.559 0.704 0.096 1
S25 S 0.631 0.900 0.677 1
S26 S 0.638 0.257 0.242 1
S27 S 0.644 0.683 0.980 1
S28 S 0.658 0.780 0.806 1
S29 S 0.665 0.270 0.759 1
S30 S 0.704 0.197 0.971 1
S31 S 0.759 0.495 0.883 1
S32 S 0.771 0.895 0.505 1
S33 S 0.843 0.474 0.148 1
S34 S 0.845 0.471 0.645 1
S35 S 0.846 0.123 0.076 1
S36 S 0.853 0.967 0.202 1
S37 S 0.881 0.349 0.376 1
S38 S 0.891 0.873 0.376 1
S39 S 0.948 0.699 0.270 1
S40 S 0.965 0.098 0.899 1
# * formation energy: -3485 kJ/mol of formula units
# * electronic total energy: -6.49 eV/atom

Record 2
# Pr4MnSb9, relaxed, DFT PBE
data_Pr4MnSb9
_cell_length_a 24.373
_cell_length_b 4.236
_cell_length_c 15.788
_cell_angle_alpha 90.00
_cell_angle_beta 97.90
_cell_angle_gamma 90.00
_space_group_name_H-M_alt 'C 1 2/m 1'
_space_group_IT_number 12
_space_group_name_Hall '-C 2y'
loop_
_atom_site_label
_atom_site_type_symbol
_atom_site_fract_x
_atom_site_fract_y
_atom_site_fract_z
_atom_site_occupancy
Pr1 Pr 0.059 0.000 0.319 1
Pr2 Pr 0.066 0.000 0.893 1
Pr3 Pr 0.113 0.000 0.642 1
Pr4 Pr 0.206 0.000 0.113 1
Mn1 Mn 0.230 0.500 0.375 1
Sb1 Sb 0.000 0.000 0.500 1
Sb2 Sb 0.000 0.500 0.000 1
Sb3 Sb 0.040 0.500 0.737 1
Sb4 Sb 0.072 0.000 0.114 1
Sb5 Sb 0.091 0.500 0.480 1
Sb6 Sb 0.142 0.500 0.229 1
Sb7 Sb 0.166 0.500 0.958 1
Sb8 Sb 0.192 0.000 0.834 1
Sb9 Sb 0.193 0.000 0.471 1
Sb10 Sb 0.218 0.500 0.694 1
# * formation energy: -1086 kJ/mol of formula units
# * electronic total energy: -5.36 eV/atom

Record 3
# PrMn2Si2, relaxed, DFT PBE
data_PrMn2Si2
_cell_length_a 3.987
_cell_length_b 3.987
_cell_length_c 10.528
_cell_angle_alpha 90.00
_cell_angle_beta 90.00
_cell_angle_gamma 90.00
_space_group_name_H-M_alt 'I 4/m m m'
_space_group_IT_number 139
_space_group_name_Hall '-I 4 2'
loop_
_atom_site_label
_atom_site_type_symbol
_atom_site_fract_x
_atom_site_fract_y
_atom_site_fract_z
_atom_site_occupancy
Pr1 Pr 0.000 0.000 0.000 1
Mn1 Mn 0.000 0.500 0.250 1
Si1 Si 0.000 0.000 0.374 1
# * formation energy: -254 kJ/mol of formula units
# * electronic total energy: -7.35 eV/atom

Record 4
# PrMnSi, relaxed, DFT PBE
data_PrMnSi
_cell_length_a 3.985
_cell_length_b 3.985
_cell_length_c 7.647
_cell_angle_alpha 90.00
_cell_angle_beta 90.00
_cell_angle_gamma 90.00
_space_group_name_H-M_alt 'P 4/n m m'
_space_group_IT_number 129
loop_
_space_group_symop_operation_xyz
'x,y,z'
'-x,-y,-z'
'-y+1/2,x,z'
'y+1/2,-x,-z'
'-x+1/2,-y+1/2,z'
'x+1/2,y+1/2,-z'
'y,-x+1/2,z'
'-y,x+1/2,-z'
'x+1/2,-y,-z'
'-x+1/2,y,z'
'-y,-x,-z'
'y,x,z'
'-x,y+1/2,-z'
'x,-y+1/2,z'
'y+1/2,x+1/2,-z'
'-y+1/2,-x+1/2,z'
loop_
_atom_site_label
_atom_site_type_symbol
_atom_site_fract_x
_atom_site_fract_y
_atom_site_fract_z
_atom_site_occupancy
Pr1 Pr 0.250 0.250 0.175 1
Mn1 Mn 0.250 0.750 0.500 1
Si1 Si 0.250 0.250 0.680 1
# * formation energy: -134 kJ/mol of formula units
# * electronic total energy: -6.94 eV/atom

Record 5
# PrMn6Sn6, relaxed, DFT PBE
data_PrMn6Sn6
_cell_length_a 5.514
_cell_length_b 9.160
_cell_length_c 28.585
_cell_angle_alpha 90.00
_cell_angle_beta 90.00
_cell_angle_gamma 90.00
_space_group_name_H-M_alt 'I m m m'
_space_group_IT_number 71
_space_group_name_Hall '-I 2 2'
loop_
_atom_site_label
_atom_site_type_symbol
_atom_site_fract_x
_atom_site_fract_y
_atom_site_fract_z
_atom_site_occupancy
Pr1 Pr 0.000 0.000 0.000 1
Pr2 Pr 0.000 0.500 0.331 1
Mn1 Mn 0.000 0.250 0.166 1
Mn2 Mn 0.000 0.251 0.500 1
Mn3 Mn 0.250 0.249 0.083 1
Mn4 Mn 0.250 0.250 0.250 1
Sn1 Sn 0.000 0.000 0.112 1
Sn2 Sn 0.000 0.000 0.224 1
Sn3 Sn 0.000 0.000 0.445 1
Sn4 Sn 0.000 0.164 0.334 1
Sn5 Sn 0.000 0.335 0.000 1
Sn6 Sn 0.000 0.500 0.110 1
Sn7 Sn 0.000 0.500 0.219 1
Sn8 Sn 0.000 0.500 0.444 1
# * formation energy: -145 kJ/mol of formula units
# * electronic total energy: -6.56 eV/atom

Record 6
# Pr2MnSn4, relaxed, DFT PBE
data_Pr2MnSn4
_cell_length_a 4.653
_cell_length_b 4.689
_cell_length_c 17.281
_cell_angle_alpha 90.00
_cell_angle_beta 90.00
_cell_angle_gamma 90.00
_space_group_name_H-M_alt 'A m m 2'
_space_group_IT_number 38
_space_group_name_Hall 'A 2 -2'
loop_
_atom_site_label
_atom_site_type_symbol
_atom_site_fract_x
_atom_site_fract_y
_atom_site_fract_z
_atom_site_occupancy
Pr1 Pr 0.000 0.000 0.000 1
Pr2 Pr 0.500 0.000 0.204 1
Mn1 Mn 0.000 0.000 0.797 1
Sn1 Sn 0.000 0.000 0.362 1
Sn2 Sn 0.000 0.000 0.647 1
Sn3 Sn 0.500 0.000 0.538 1
Sn4 Sn 0.500 0.000 0.860 1
# * formation energy: -322 kJ/mol of formula units
# * electronic total energy: -5.44 eV/atom